22
Lattice="-3.839 3.487 -3.515 -2.305 -1.500 5.629 2.906 6.317 2.957" Properties=species:S:1:pos:R:3 comment="Sm2Re3B6, optimized geometry, DFT r2SCAN" e_form_ev_per_atom=-0.549 energy_ev_per_atom=-24.2558 pbc="T T T"
B 0.448 6.658 4.112
B -3.165 5.816 3.135
B -1.146 3.958 1.794
B -2.091 4.347 3.278
B -3.685 1.646 0.960
B -0.072 2.488 1.937
B -1.335 8.500 2.271
B -1.902 -0.195 2.801
B -4.475 2.190 2.513
B -1.105 5.093 0.374
B -2.133 3.211 4.698
B 1.237 6.114 2.559
Re -3.006 8.005 3.755
Re -1.023 6.157 2.496
Re 0.940 4.376 1.114
Re -4.177 3.929 3.958
Re -2.215 2.148 2.576
Re -0.231 0.300 1.317
Sm -3.812 4.366 0.920
Sm -1.827 5.796 5.568
Sm 0.574 3.938 4.152
Sm -1.411 2.508 -0.496

---

6
Lattice="-2.081 2.081 9.003 2.081 -2.081 9.003 2.081 2.081 -9.003" Properties=species:S:1:pos:R:3 comment="UTeAs, optimized geometry, DFT r2SCAN" e_form_ev_per_atom=-1.020 energy_ev_per_atom=-41.0423 pbc="T T T"
U 0.000 0.000 2.181
U 0.000 0.000 15.825
Te 0.000 0.000 12.379
Te 0.000 0.000 5.628
As 0.000 2.081 0.000
As 2.081 0.000 0.000

---

5
Lattice="-3.224 3.130 1.978 -1.985 0.753 -4.427 -3.126 -3.707 0.771" Properties=species:S:1:pos:R:3 comment="Y3PbC, optimized geometry, DFT r2SCAN" e_form_ev_per_atom=-0.719 energy_ev_per_atom=-26.1540 pbc="T T T"
C -4.167 0.088 -0.839
Y -3.175 -0.288 1.375
Y -2.604 1.942 -1.224
Y -2.555 -1.477 -1.828
Pb 0.000 0.000 0.000

---

72
Lattice="-8.116 5.189 4.015 -4.519 0.208 -9.405 -4.756 -9.052 2.085" Properties=species:S:1:pos:R:3 comment="SiO2, optimized geometry, DFT r2SCAN" e_form_ev_per_atom=-2.998 energy_ev_per_atom=-9.9044 pbc="T T T"
O -8.786 -5.160 1.197
O -4.514 -0.247 -6.895
O -7.071 3.439 2.483
O -8.906 -0.212 -6.490
O -10.023 2.154 -0.382
O -12.877 -3.409 3.591
O -11.703 -0.915 -2.093
O -5.360 -2.637 -6.153
O -7.970 -2.623 -5.903
O -11.439 -3.240 -0.910
O -12.031 -1.019 2.848
O -9.575 -7.185 -3.254
O -5.688 -2.741 -1.212
O -12.658 2.967 -4.617
O -4.720 -2.406 1.224
O -10.566 -2.457 4.479
O -9.421 -1.033 2.599
O -7.368 -5.810 -2.923
O -8.605 1.504 -4.502
O -6.600 -4.786 -5.246
O -6.825 -1.199 -7.783
O -5.169 1.513 -0.752
O -12.222 -5.168 -2.553
O -10.320 -7.095 -5.787
O -5.952 -0.416 -2.395
O -10.791 1.130 1.941
O -13.413 -1.634 -0.197
O -7.294 -7.303 1.438
O -4.733 -6.623 1.312
O -8.485 -3.444 3.185
O -8.584 -6.864 -0.826
O -10.935 -1.019 0.433
O -8.807 3.208 -2.479
O -10.896 1.371 -5.770
O -9.662 -4.813 -2.070
O -7.816 3.529 -0.051
O -6.495 -5.027 2.466
O -9.641 3.507 1.831
O -12.671 -1.250 -4.528
O -10.136 -0.629 -4.202
O -7.729 1.157 -1.235
O -3.978 -2.022 -3.107
O -7.750 -7.163 -5.135
O -10.097 3.647 -4.742
O -6.396 -0.634 0.180
O -7.255 -3.027 0.898
O -10.995 -3.021 -3.484
O -6.456 -2.637 -3.737
Si -5.515 -1.961 -2.626
Si -8.249 -1.553 -7.093
Si -9.142 -2.102 3.788
Si -8.154 4.038 1.451
Si -7.756 -4.150 1.939
Si -6.069 -6.571 2.213
Si -8.803 -6.164 -2.255
Si -6.016 -2.210 0.285
Si -11.375 -1.446 -3.590
Si -10.796 -0.476 1.944
Si -11.876 -1.695 -0.679
Si -5.298 -1.571 -7.373
Si -8.588 2.508 -1.050
Si -10.651 2.484 1.079
Si -12.093 -2.085 4.069
Si -6.595 -3.180 -5.248
Si -11.077 -4.075 -2.254
Si -8.733 3.068 -4.082
Si -6.740 -6.140 -4.383
Si -8.658 -6.724 0.778
Si -9.635 0.494 -5.244
Si -11.322 2.915 -5.517
Si -9.237 -7.694 -4.756
Si -6.314 0.419 -1.051

---

64
Lattice="7.579 0.000 0.000 0.000 7.579 0.000 0.000 0.000 14.725" Properties=species:S:1:pos:R:3 comment="KNaCaThSi8O20, optimized geometry, DFT r2SCAN" e_form_ev_per_atom=-3.135 energy_ev_per_atom=-11.8764 pbc="T T T"
O 6.827 1.818 2.330
O 0.753 1.818 5.032
O 1.806 2.390 7.380
O 5.761 0.753 9.693
O 5.773 2.390 14.708
O 0.801 1.927 9.803
O 1.927 0.801 2.440
O 4.120 1.967 12.717
O 3.459 5.613 12.717
O 6.778 1.927 12.285
O 2.390 5.773 7.345
O 0.801 5.652 12.285
O 3.419 1.933 5.347
O 4.160 1.933 2.016
O 5.189 5.773 0.018
O 5.647 4.160 12.709
O 5.652 6.778 2.440
O 1.933 4.160 9.379
O 3.419 5.647 2.016
O 0.753 5.761 2.330
O 1.967 3.459 2.008
O 4.160 5.647 5.347
O 5.613 4.120 2.008
O 2.390 1.806 0.018
O 4.120 5.613 9.371
O 1.818 6.827 9.693
O 1.927 6.778 4.922
O 5.761 6.827 12.395
O 1.818 0.753 12.395
O 6.827 5.761 5.032
O 1.933 3.419 12.709
O 5.652 0.801 4.922
O 1.967 4.120 5.354
O 5.189 1.806 7.345
O 5.613 3.459 5.354
O 3.459 1.967 9.371
O 6.778 5.652 9.803
O 5.773 5.189 7.380
O 1.806 5.189 14.708
O 5.647 3.419 9.379
Si 5.041 1.951 8.959
Si 1.951 2.539 5.766
Si 5.016 5.580 1.617
Si 2.539 5.629 8.959
Si 2.563 1.999 1.617
Si 5.580 5.016 8.980
Si 2.539 1.951 13.129
Si 1.999 5.016 13.108
Si 1.951 5.041 1.597
Si 5.580 2.563 13.108
Si 5.629 2.539 1.597
Si 2.563 5.580 5.746
Si 5.629 5.041 5.766
Si 5.016 1.999 5.746
Si 5.041 5.629 13.129
Si 1.999 2.563 8.980
Th 0.000 0.000 11.044
Th 0.000 0.000 3.681
K 0.000 0.000 0.000
K 0.000 0.000 7.363
Na 3.790 0.000 11.044
Na 0.000 3.790 3.681
Ca 0.000 3.790 11.044
Ca 3.790 0.000 3.681

---

7
Lattice="-2.602 -1.229 1.024 1.512 -1.322 -2.302 3.785 -4.020 4.794" Properties=species:S:1:pos:R:3 comment="Mg2H2O3, optimized geometry, DFT r2SCAN" e_form_ev_per_atom=-2.174 energy_ev_per_atom=-6.9118 pbc="T T T"
O 0.000 0.000 0.000
O -0.059 -2.505 1.400
O 2.753 -4.066 2.117
Mg 0.769 -1.959 -0.397
Mg 1.925 -4.612 3.913
H 2.256 -3.538 1.487
H 0.438 -3.033 2.030

---

12
Lattice="8.948 -2.649 0.002 8.948 2.649 0.002 8.163 0.000 4.523" Properties=species:S:1:pos:R:3 comment="CeIr3, optimized geometry, DFT r2SCAN" e_form_ev_per_atom=-0.679 energy_ev_per_atom=-47.6586 pbc="T T T"
Ir 13.029 0.000 2.264
Ir 10.701 -1.328 2.637
Ir 14.964 0.000 4.156
Ir 8.684 0.000 1.509
Ir 15.358 1.328 1.890
Ir 11.094 0.000 0.371
Ir 10.701 1.328 2.637
Ir 15.358 -1.328 1.890
Ir 17.375 0.000 3.019
Ce 0.000 0.000 0.000
Ce 3.608 0.000 0.627
Ce 22.451 0.000 3.901

---

6
Lattice="4.316 0.000 2.492 1.439 4.070 2.492 0.000 0.000 4.984" Properties=species:S:1:pos:R:3 comment="LuCo2, optimized geometry, DFT r2SCAN" e_form_ev_per_atom=-0.232 energy_ev_per_atom=-21.7476 pbc="T T T"
Co 0.719 2.035 3.738
Co 2.878 2.035 4.984
Co 2.158 0.000 3.738
Co 2.878 2.035 2.492
Lu 5.036 3.561 8.722
Lu 0.719 0.509 1.246

---

30
Lattice="-0.305 -4.776 0.929 5.148 -1.461 -5.759 5.905 3.270 6.229" Properties=species:S:1:pos:R:3 comment="Ca2MgC3O9, optimized geometry, DFT r2SCAN" e_form_ev_per_atom=-2.339 relative_energy_mev_per_atom=7.2 energy_ev_per_atom=-9.1279 pbc="T T T"
O 6.770 -2.326 0.386
O 3.859 -3.827 0.538
O 4.287 -0.701 4.048
O 4.304 -2.223 5.686
O 3.909 -1.160 -1.034
O 6.534 -2.309 -2.826
O 4.216 -0.684 1.129
O 6.847 0.818 4.013
O 6.639 -1.690 2.522
O 1.115 -1.794 -0.085
O 4.131 -2.881 3.556
O 6.838 0.910 1.060
O 6.790 -0.200 -2.182
O 9.767 1.000 1.952
O 9.660 -1.176 1.419
O 6.177 -5.452 -3.417
O 0.959 -3.974 -0.577
O 3.624 -3.809 -2.674
Mg 5.543 0.100 2.557
Mg 5.608 -1.505 7.143
C 6.894 0.530 5.272
C 6.597 -1.062 -3.120
C 4.101 -0.298 -0.096
C 9.666 -0.241 2.308
C 4.258 -1.935 4.428
C 6.633 -2.625 1.633
Ca 8.222 -0.585 -0.343
Ca 8.382 2.495 3.355
Ca 2.623 -2.337 1.736
Ca 5.197 -3.068 -1.144

---

2
Lattice="-1.746 1.804 2.177 1.270 -1.786 2.498 2.527 2.144 0.248" Properties=species:S:1:pos:R:3 comment="ZrZn, optimized geometry, DFT r2SCAN" e_form_ev_per_atom=-0.326 energy_ev_per_atom=-16.1563 pbc="T T T"
Zr 1.026 1.081 2.462
Zn 0.000 0.000 0.000

---

28
Lattice="-4.961 2.914 -0.437 -1.625 -3.674 -6.049 -5.712 -8.701 6.818" Properties=species:S:1:pos:R:3 comment="Li2BeCl4, optimized geometry, DFT r2SCAN" e_form_ev_per_atom=-1.841 energy_ev_per_atom=-6.6579 pbc="T T T"
Cl -10.035 -8.697 -0.516
Cl -4.777 -5.606 -1.849
Cl -7.047 -8.310 4.761
Cl -5.757 -6.815 1.551
Cl -9.306 -7.048 2.199
Cl -7.520 -3.854 2.182
Cl -5.028 -5.167 4.265
Cl -6.541 -2.645 -1.218
Cl -7.678 -9.930 1.556
Cl -4.090 -4.019 1.360
Cl -5.250 -1.151 -4.428
Cl -8.208 -5.441 -1.028
Cl -7.270 -4.294 -3.933
Cl -4.620 0.470 -1.224
Cl -2.991 -2.412 -1.866
Cl -2.262 -0.763 0.848
Li -6.149 -4.730 0.166
Li -7.283 -6.135 3.503
Li -5.411 -9.120 0.455
Li -5.014 -3.325 -3.171
Li 0.000 0.000 0.000
Li -5.336 -2.893 3.191
Li -0.812 -1.837 -3.024
Li -6.886 -0.341 -0.123
Be -9.407 -8.931 1.414
Be -8.026 -3.715 -2.126
Be -2.891 -0.529 -1.081
Be -4.272 -5.745 2.458

---

6
Lattice="-1.286 4.295 2.394 -4.824 0.788 1.391 -1.278 -0.116 4.917" Properties=species:S:1:pos:R:3 comment="CaInCu4, optimized geometry, DFT r2SCAN" e_form_ev_per_atom=-0.182 energy_ev_per_atom=-12.3493 pbc="T T T"
Ca -1.278 -0.116 4.917
Cu -2.214 2.709 4.741
Cu -3.977 3.158 2.988
Cu -3.973 0.965 4.243
Cu -4.612 3.100 5.433
In -1.847 1.241 2.176